(1)
A plane-wave DFT calculation with GGA-PBE was carried out for crystalline FeS2 at its relaxed geometry.

Cell and atoms, written as CIF:
```
data_FeS2
_chemical_formula_sum 'Fe4 S8'
_cell_length_a 5.4038
_cell_length_b 5.4038
_cell_length_c 5.4038
_cell_angle_alpha 90.00
_cell_angle_beta 90.00
_cell_angle_gamma 90.00
_space_group_name_H-M_alt 'P 1'
_space_group_IT_number 1
loop_
_space_group_symop_operation_xyz
'x,y,z'
loop_
_atom_site_label
_atom_site_fract_x
_atom_site_fract_y
_atom_site_fract_z
Fe1 0.0000 0.5000 0.5000
Fe2 0.5000 0.5000 0.0000
Fe3 0.5000 0.0000 0.5000
Fe4 0.0000 0.0000 0.0000
S1 0.3829 0.1171 0.8829
S2 0.1171 0.8829 0.3829
S3 0.8829 0.3829 0.1171
S4 0.6171 0.6171 0.6171
S5 0.3829 0.3829 0.3829
S6 0.1171 0.6171 0.8829
S7 0.8829 0.1171 0.6171
S8 0.6171 0.8829 0.1171
```

Summary:
calculated density: 5.1 Mg/m³
corrected total energy (MP2020 scheme): -77.058 eV/cell
energy of formation from the pure elements: -0.84 eV per atom
symmetry: Pa-3

***

(2)
A plane-wave DFT calculation with GGA-PBE was carried out for crystalline BaHIO at its relaxed geometry.

Cell and atoms, written as CIF:
```
data_BaHIO
_chemical_formula_sum 'Ba4 H4 I4 O4'
_cell_length_a 4.5592
_cell_length_b 8.1353
_cell_length_c 11.2234
_cell_angle_alpha 90.00
_cell_angle_beta 90.00
_cell_angle_gamma 90.00
_space_group_name_H-M_alt 'P 1'
_space_group_IT_number 1
loop_
_space_group_symop_operation_xyz
'x,y,z'
loop_
_atom_site_label
_atom_site_fract_x
_atom_site_fract_y
_atom_site_fract_z
Ba1 0.2500 0.6893 0.4190
Ba2 0.2500 0.1893 0.0810
Ba3 0.7500 0.3107 0.5810
Ba4 0.7500 0.8107 0.9190
H1 0.2500 0.7897 0.0998
H2 0.2500 0.2897 0.4002
H3 0.7500 0.2103 0.9002
H4 0.7500 0.7103 0.5998
I1 0.7500 0.5289 0.1812
I2 0.7500 0.0289 0.3188
I3 0.2500 0.4711 0.8188
I4 0.2500 0.9711 0.6812
O1 0.2500 0.8691 0.0343
O2 0.2500 0.3691 0.4657
O3 0.7500 0.1309 0.9657
O4 0.7500 0.6309 0.5343
```

Summary:
calculated density: 4.5 Mg/m³
corrected total energy (MP2020 scheme): -79.699 eV/cell
total magnetization: 0.00 μB per formula unit
energy of formation from the pure elements: -2.04 eV per atom
symmetry: Pnma

***

(3)
A plane-wave DFT calculation with GGA-PBE was carried out for crystalline Ca6Si6O19 at its relaxed geometry.

Cell and atoms, written as CIF:
```
data_Ca6Si6O19
_chemical_formula_sum 'Ca12 Si12 O38'
_cell_length_a 7.4237
_cell_length_b 7.0672
_cell_length_c 17.4188
_cell_angle_alpha 89.60
_cell_angle_beta 90.00
_cell_angle_gamma 90.00
_space_group_name_H-M_alt 'P 1'
_space_group_IT_number 1
loop_
_space_group_symop_operation_xyz
'x,y,z'
loop_
_atom_site_label
_atom_site_fract_x
_atom_site_fract_y
_atom_site_fract_z
Ca1 0.6253 0.0000 0.2500
Ca2 0.3747 0.0000 0.7500
Ca3 0.1244 0.0000 0.2500
Ca4 0.8756 0.0000 0.7500
Ca5 0.8744 0.1598 0.4346
Ca6 0.8744 0.8402 0.0654
Ca7 0.1256 0.8402 0.5654
Ca8 0.1256 0.1598 0.9346
Ca9 0.3754 0.1607 0.4330
Ca10 0.3754 0.8393 0.0670
Ca11 0.6246 0.8393 0.5670
Ca12 0.6246 0.1607 0.9330
Si1 0.8346 0.2691 0.1054
Si2 0.8346 0.7309 0.3946
Si3 0.1654 0.7309 0.8946
Si4 0.1654 0.2691 0.6054
Si5 0.4145 0.2677 0.1054
Si6 0.4145 0.7323 0.3946
Si7 0.5855 0.7323 0.8946
Si8 0.5855 0.2677 0.6054
Si9 0.1247 0.4453 0.3408
Si10 0.1247 0.5547 0.1592
Si11 0.8753 0.5547 0.6592
Si12 0.8753 0.4453 0.8408
O1 0.1253 0.5000 0.2500
O2 0.8747 0.5000 0.7500
O3 0.6244 0.3423 0.1057
O4 0.6244 0.6577 0.3943
O5 0.3756 0.6577 0.8943
O6 0.3756 0.3423 0.6057
O7 0.3747 0.1155 0.1737
O8 0.3747 0.8845 0.3263
O9 0.6253 0.8845 0.8263
O10 0.6253 0.1155 0.6737
O11 0.8748 0.1164 0.1735
O12 0.8748 0.8836 0.3265
O13 0.1252 0.8836 0.8265
O14 0.1252 0.1164 0.6735
O15 0.9455 0.4727 0.1153
O16 0.9455 0.5273 0.3847
O17 0.0545 0.5273 0.8847
O18 0.0545 0.4727 0.6153
O19 0.3027 0.4712 0.1147
O20 0.3027 0.5288 0.3853
O21 0.6973 0.5288 0.8853
O22 0.6973 0.4712 0.6147
O23 0.3728 0.1673 0.0232
O24 0.3728 0.8327 0.4768
O25 0.6272 0.8327 0.9768
O26 0.6272 0.1673 0.5232
O27 0.8772 0.1704 0.0229
O28 0.8772 0.8296 0.4771
O29 0.1228 0.8296 0.9771
O30 0.1228 0.1704 0.5229
O31 0.1252 0.2195 0.3526
O32 0.1252 0.7805 0.1474
O33 0.8748 0.7805 0.6474
O34 0.8748 0.2195 0.8526
O35 0.6245 0.1996 0.3538
O36 0.6245 0.8004 0.1462
O37 0.3755 0.8004 0.6462
O38 0.3755 0.1996 0.8538
```

Summary:
calculated density: 2.6 Mg/m³
excess energy over the best structure of this formula in the dataset: 0 meV per atom
corrected total energy (MP2020 scheme): -479.101 eV/cell
total magnetization: 2.00 μB per formula unit
energy of formation from the pure elements: -3.26 eV per atom
symmetry: P2/c

***

(4)
A plane-wave DFT calculation with GGA-PBE was carried out for crystalline Ca3Ru2O7 at its relaxed geometry.

Cell and atoms, written as CIF:
```
data_Ca3Ru2O7
_chemical_formula_sum 'Ca6 Ru4 O14'
_cell_length_a 10.1767
_cell_length_b 10.1767
_cell_length_c 5.6384
_cell_angle_alpha 90.00
_cell_angle_beta 90.00
_cell_angle_gamma 149.06
_space_group_name_H-M_alt 'P 1'
_space_group_IT_number 1
loop_
_space_group_symop_operation_xyz
'x,y,z'
loop_
_atom_site_label
_atom_site_fract_x
_atom_site_fract_y
_atom_site_fract_z
Ca1 0.5542 0.9315 0.3103
Ca2 0.4458 0.0685 0.8103
Ca3 0.0685 0.4458 0.8103
Ca4 0.9315 0.5542 0.3103
Ca5 0.2676 0.2676 0.6887
Ca6 0.7324 0.7324 0.1887
Ru1 0.6534 0.8515 0.7510
Ru2 0.3466 0.1485 0.2510
Ru3 0.1485 0.3466 0.2510
Ru4 0.8515 0.6534 0.7510
O1 0.0686 0.8302 0.0452
O2 0.9314 0.1698 0.5452
O3 0.1698 0.9314 0.5452
O4 0.8302 0.0686 0.0452
O5 0.5256 0.3662 0.9496
O6 0.4744 0.6338 0.4496
O7 0.6338 0.4744 0.4496
O8 0.3662 0.5256 0.9496
O9 0.1567 0.1567 0.2745
O10 0.8433 0.8433 0.7745
O11 0.1263 0.5243 0.2263
O12 0.8737 0.4757 0.7263
O13 0.4757 0.8737 0.7263
O14 0.5243 0.1263 0.2263
```

Summary:
calculated density: 4.8 Mg/m³
corrected total energy (MP2020 scheme): -176.119 eV/cell
energy of formation from the pure elements: -2.40 eV per atom
symmetry: Cmc2_1

***

(5)
A plane-wave DFT calculation with GGA-PBE was carried out for crystalline Sr2CaI6 at its relaxed geometry.

Cell and atoms, written as CIF:
```
data_Sr2CaI6
_chemical_formula_sum 'Sr8 Ca4 I24'
_cell_length_a 8.1530
_cell_length_b 9.1926
_cell_length_c 22.2852
_cell_angle_alpha 90.00
_cell_angle_beta 90.00
_cell_angle_gamma 90.00
_space_group_name_H-M_alt 'P 1'
_space_group_IT_number 1
loop_
_space_group_symop_operation_xyz
'x,y,z'
loop_
_atom_site_label
_atom_site_fract_x
_atom_site_fract_y
_atom_site_fract_z
Sr1 0.2651 0.3536 0.1620
Sr2 0.7651 0.6464 0.1620
Sr3 0.7651 0.1464 0.3380
Sr4 0.2651 0.8536 0.3380
Sr5 0.7349 0.1464 0.6620
Sr6 0.2349 0.8536 0.6620
Sr7 0.2349 0.3536 0.8380
Sr8 0.7349 0.6464 0.8380
Ca1 0.7500 0.1388 0.0000
Ca2 0.2500 0.8612 0.0000
Ca3 0.2500 0.3612 0.5000
Ca4 0.7500 0.6388 0.5000
I1 0.9377 0.9047 0.0807
I2 0.4377 0.0953 0.0807
I3 0.9271 0.3800 0.0800
I4 0.4271 0.6200 0.0800
I5 0.6020 0.3824 0.2428
I6 0.1020 0.6176 0.2428
I7 0.1020 0.1176 0.2572
I8 0.6020 0.8824 0.2572
I9 0.4271 0.1200 0.4200
I10 0.9271 0.8800 0.4200
I11 0.9377 0.4047 0.4193
I12 0.4377 0.5953 0.4193
I13 0.5623 0.4047 0.5807
I14 0.0623 0.5953 0.5807
I15 0.0729 0.1200 0.5800
I16 0.5729 0.8800 0.5800
I17 0.3980 0.1176 0.7428
I18 0.8980 0.8824 0.7428
I19 0.8980 0.3824 0.7572
I20 0.3980 0.6176 0.7572
I21 0.5729 0.3800 0.9200
I22 0.0729 0.6200 0.9200
I23 0.0623 0.0953 0.9193
I24 0.5623 0.9047 0.9193
```

Summary:
calculated density: 3.9 Mg/m³
excess energy over the best structure of this formula in the dataset: 5 meV per atom
corrected total energy (MP2020 scheme): -127.007 eV/cell
total magnetization: 0.00 μB per formula unit
energy of formation from the pure elements: -1.91 eV per atom
symmetry: Pbcn

***

> Among the records above, which one has the highest calculated density?

FeS2

***

> What is the formula in the second record?

BaHIO

***

> Which of these has the lowest corrected total energy (MP2020 scheme)?

Ca6Si6O19

***

> The lowest corrected total energy (MP2020 scheme) belongs to which entry?

Ca6Si6O19